# 1
Here is an optimized crystal structure of Al2O3 from Materials Project. Energies are from PBE.

Properties
* E_form: -3.2324 eV per atom
* space-group type: No. 1
* total moment: 0.000 μB/f.u.
* crystal system: triclinic

Cell: 10.423 10.240 10.523 Å, 86.84 87.61 90.11°
Positions (direct):
O: 0.892 0.002 0.069
Al: 0.869 0.331 0.781
O: 0.073 0.495 0.476
O: 0.557 0.977 0.456
O: 0.030 0.868 0.293
O: 0.783 0.889 0.822
Al: 0.720 0.012 0.415
Al: 0.180 0.472 0.339
O: 0.732 0.068 0.579
O: 0.535 0.271 0.555
O: 0.008 0.062 0.442
O: 0.518 0.520 0.664
O: 0.084 0.510 0.978
Al: 0.975 0.890 0.453
Al: 0.059 0.651 0.067
O: 0.345 0.511 0.342
O: 0.717 0.590 0.834
O: 0.952 0.703 0.759
O: 0.273 0.366 0.567
Al: 0.379 0.385 0.995
Al: 0.941 0.119 0.595
O: 0.357 0.120 0.525
O: 0.051 0.742 0.515
O: 0.563 0.710 0.415
Al: 0.219 0.740 0.555
Al: 0.591 0.647 0.743
O: 0.031 0.972 0.862
O: 0.271 0.065 0.810
O: 0.824 0.368 0.932
O: 0.274 0.763 0.379
O: 0.897 0.157 0.768
O: 0.445 0.892 0.972
Al: 0.994 0.596 0.607
O: 0.661 0.740 0.014
O: 0.091 0.275 0.902
O: 0.759 0.365 0.655
Al: 0.386 0.288 0.468
Al: 0.109 0.332 0.552
O: 0.641 0.782 0.643
O: 0.803 0.699 0.274
O: 0.098 0.112 0.185
Al: 0.773 0.367 0.211
O: 0.833 0.586 0.532
O: 0.666 0.244 0.166
Al: 0.591 0.367 0.676
Al: 0.762 0.667 0.127
O: 0.590 0.350 0.846
O: 0.449 0.683 0.835
O: 0.438 0.744 0.173
O: 0.593 0.008 0.184
Al: 0.815 0.722 0.881
Al: 0.253 0.194 0.226
O: 0.184 0.604 0.700
O: 0.352 0.050 0.189
O: 0.533 0.105 0.777
Al: 0.504 0.823 0.543
Al: 0.069 0.341 0.057
O: 0.149 0.290 0.346
O: 0.183 0.883 0.648
Al: 0.036 0.856 0.739
Al: 0.154 0.757 0.265
Al: 0.451 0.921 0.138
O: 0.114 0.157 0.647
Al: 0.136 0.459 0.821
Al: 0.828 0.412 0.501
O: 0.239 0.333 0.103
O: 0.406 0.253 0.301
Al: 0.676 0.457 0.957
Al: 0.747 0.086 0.135
O: 0.009 0.425 0.708
Al: 0.358 0.577 0.724
Al: 0.991 0.186 0.313
Al: 0.419 0.977 0.828
Al: 0.419 0.664 0.333
Al: 0.494 0.697 0.004
O: 0.730 0.501 0.111
O: 0.135 0.810 0.092
Al: 0.522 0.091 0.593
O: 0.461 0.228 0.025
Al: 0.111 0.129 0.822
O: 0.379 0.705 0.588
O: 0.943 0.279 0.506
O: 0.714 0.103 0.963
O: 0.818 0.095 0.295
O: 0.114 0.593 0.223
O: 0.746 0.404 0.367
O: 0.496 0.511 0.021
O: 0.935 0.938 0.629
Al: 0.740 0.693 0.424
O: 0.799 0.858 0.461
Al: 0.037 0.956 0.140
Al: 0.260 0.039 0.638
Al: 0.582 0.188 0.908
Al: 0.855 0.026 0.897
O: 0.307 0.442 0.846
O: 0.944 0.317 0.185
Al: 0.505 0.170 0.189
O: 0.431 0.935 0.664
Al: 0.764 0.904 0.651
O: 0.904 0.700 0.023

***

# 2
Here is an optimized crystal structure of Na2O from Materials Project. Energies are from PBE.

Properties
* E_form: -1.3596 eV per atom
* space-group type: No. 166
* total moment: 0.000 μB/f.u.
* crystal system: trigonal

Cell: 8.178 8.178 8.178 Å, 26.94 26.94 26.94°
Positions (direct):
Na: 0.393 0.393 0.393
Na: 0.798 0.798 0.798
O: 0.097 0.097 0.097
O: 0.903 0.903 0.903
Na: 0.607 0.607 0.607
Na: 0.202 0.202 0.202

***

# 3
Here is an optimized crystal structure of Pr2Al2Co15 from Materials Project. Energies are from PBE.

Properties
* E_form: -0.1145 eV per atom
* space-group type: No. 166
* total moment: 19.399 μB/f.u.
* crystal system: trigonal

Cell: 6.373 6.373 6.373 Å, 82.55 82.55 82.55°
Positions (direct):
Co: 0.000 0.000 0.500
Co: 0.654 0.654 0.147
Co: 0.346 0.346 0.853
Co: 0.717 0.283 0.000
Co: 0.000 0.500 0.000
Co: 0.283 0.000 0.717
Co: 0.717 0.000 0.283
Co: 0.000 0.283 0.717
Co: 0.000 0.717 0.283
Co: 0.654 0.147 0.654
Pr: 0.352 0.352 0.352
Co: 0.147 0.654 0.654
Co: 0.283 0.717 0.000
Co: 0.346 0.853 0.346
Co: 0.853 0.346 0.346
Al: 0.105 0.105 0.105
Co: 0.500 0.000 0.000
Pr: 0.648 0.648 0.648
Al: 0.895 0.895 0.895

***

# 4
Here is an optimized crystal structure of Sr2UCu2S5 from Materials Project. Energies are from PBE.

Properties
* E_form: -1.5970 eV per atom
* space-group type: No. 12
* total moment: 0.006 μB/f.u.
* crystal system: monoclinic

Cell: 6.875 6.875 9.369 Å, 64.78 64.78 33.83°
Positions (direct):
U: 0.000 0.000 0.000
S: 0.157 0.157 0.693
Cu: 0.560 0.560 0.699
S: 0.384 0.384 0.931
S: 0.843 0.843 0.307
Cu: 0.440 0.440 0.301
S: 0.500 0.500 0.500
Sr: 0.828 0.828 0.703
S: 0.616 0.616 0.069
Sr: 0.172 0.172 0.297

***

# 5
Here is an optimized crystal structure of Gd2HfO5 from Materials Project. Energies are from PBE.

Properties
* E_form: -3.9256 eV per atom
* energy above the lowest structure with this stoichiometry: 1.2 kJ/mol of atoms
* space-group type: No. 62
* total moment: 14.003 μB/f.u.
* crystal system: orthorhombic

Cell: 3.791 10.871 11.707 Å, 90.00 90.00 90.00°
Positions (direct):
Hf: 0.250 0.825 0.383
Gd: 0.250 0.370 0.439
O: 0.250 0.246 0.614
O: 0.250 0.745 0.228
Gd: 0.250 0.882 0.722
O: 0.250 0.771 0.549
O: 0.250 0.005 0.896
O: 0.750 0.495 0.396
Hf: 0.750 0.675 0.883
O: 0.250 0.746 0.886
O: 0.750 0.995 0.104
O: 0.750 0.255 0.772
O: 0.750 0.754 0.386
Gd: 0.250 0.382 0.778
Gd: 0.750 0.618 0.222
O: 0.250 0.999 0.343
Gd: 0.750 0.630 0.561
O: 0.250 0.271 0.951
O: 0.250 0.499 0.157
Gd: 0.250 0.870 0.061
O: 0.750 0.254 0.114
Gd: 0.750 0.130 0.939
Hf: 0.250 0.325 0.117
Hf: 0.750 0.175 0.617
O: 0.250 0.505 0.604
O: 0.750 0.501 0.843
O: 0.750 0.229 0.451
O: 0.250 0.245 0.272
O: 0.750 0.729 0.049
O: 0.750 0.001 0.657
O: 0.750 0.755 0.728
Gd: 0.750 0.118 0.278

***

# 6
Here is an optimized crystal structure of RbOs2O6 from Materials Project. Energies are from PBE.

Properties
* E_form: -1.6623 eV per atom
* space-group type: No. 227
* crystal system: cubic

Cell: 7.243 7.243 7.243 Å, 60.00 60.00 60.00°
Positions (direct):
O: 0.310 0.310 0.690
O: 0.560 0.940 0.560
Rb: 0.000 0.000 0.000
Os: 0.625 0.625 0.125
O: 0.690 0.310 0.310
O: 0.690 0.690 0.310
Os: 0.625 0.125 0.625
O: 0.560 0.940 0.940
O: 0.940 0.560 0.940
O: 0.310 0.690 0.310
O: 0.690 0.310 0.690
Os: 0.125 0.625 0.625
Os: 0.625 0.625 0.625
O: 0.940 0.940 0.560
O: 0.310 0.690 0.690
Rb: 0.250 0.250 0.250
O: 0.940 0.560 0.560
O: 0.560 0.560 0.940

***

# 7
Here is an optimized crystal structure of BaAl2Ge2 from Materials Project. Energies are from PBE.

Properties
* E_form: -0.3923 eV per atom
* space-group type: No. 139
* crystal system: tetragonal

Cell: 7.278 7.278 7.278 Å, 145.92 145.92 48.96°
Positions (direct):
Al: 0.750 0.250 0.500
Al: 0.250 0.750 0.500
Ge: 0.365 0.365 0.000
Ge: 0.635 0.635 0.000
Ba: 0.000 0.000 0.000

***

# 8
Here is an optimized crystal structure of U2InPd2 from Materials Project. Energies are from PBE.

Properties
* E_form: -0.1982 eV per atom
* space-group type: No. 127
* total moment: 4.803 μB/f.u.
* crystal system: tetragonal

Cell: 7.655 7.655 3.800 Å, 90.00 90.00 90.00°
Positions (direct):
Pd: 0.631 0.869 0.000
Pd: 0.131 0.631 0.000
Pd: 0.369 0.131 0.000
In: 0.000 0.000 0.000
In: 0.500 0.500 0.000
U: 0.328 0.828 0.500
Pd: 0.869 0.369 0.000
U: 0.172 0.328 0.500
U: 0.828 0.672 0.500
U: 0.672 0.172 0.500